Material: NiPS
Method: DFT, r2SCAN
State: optimized geometry

Summary:
The calculation puts the total magnetization at 0.00 μB/atom. The value obtained for the formation energy from the elements is -1.22 eV per formula unit. Its space group is No. 198. As for the raw total energy: -120.95 eV for the cell shown.

Cell lengths 5.5288, 5.5288, 5.5288 Å; angles 90.00, 90.00, 90.00 degrees
Sites, in units of the cell vectors:
S 0.8888 0.1111 0.6111
S 0.3889 0.3889 0.3889
S 0.1112 0.6111 0.8888
P 0.3889 0.1111 0.8889
Ni 0.5062 0.4938 0.9938
P 0.6111 0.6111 0.6111
Ni 0.0062 0.0062 0.0062
Ni 0.4938 0.9938 0.5062
Ni 0.9938 0.5062 0.4938
S 0.6111 0.8889 0.1112
P 0.1111 0.8889 0.3889
P 0.8889 0.3889 0.1111

Material: SmNi2P2
Method: DFT, r2SCAN
State: optimized geometry

Summary:
The calculation puts the total magnetization at 0.00 μB/atom. The value obtained for the formation energy from the elements is -5.34 eV per formula unit. Its space group is No. 139. As for the raw total energy: -77.04 eV for the cell shown.

Cell lengths 3.9099, 3.9099, 5.4519 Å; angles 111.01, 111.01, 90.00 degrees
Sites, in units of the cell vectors:
P 0.3731 0.3731 0.7461
Sm 0.0000 0.0000 0.0000
P 0.6269 0.6269 0.2539
Ni 0.2500 0.7500 0.5000
Ni 0.7500 0.2500 0.5000

Material: SmNiP
Method: DFT, r2SCAN
State: optimized geometry

Summary:
The calculation puts the total magnetization at 0.00 μB/atom. The value obtained for the formation energy from the elements is -3.86 eV per formula unit. Its space group is No. 194. As for the raw total energy: -218.30 eV for the cell shown.

Cell lengths 3.9242, 3.9242, 15.8997 Å; angles 90.00, 90.00, 120.00 degrees
Sites, in units of the cell vectors:
P 0.3333 0.6667 0.8758
Ni 0.6667 0.3333 0.8735
Ni 0.6667 0.3333 0.6265
Ni 0.3333 0.6667 0.1265
P 0.3333 0.6667 0.6242
P 0.6667 0.3333 0.3758
Ni 0.3333 0.6667 0.3735
Sm 0.0000 0.0000 0.2500
Sm 0.0000 0.0000 0.0000
P 0.6667 0.3333 0.1242
Sm 0.0000 0.0000 0.7500
Sm 0.0000 0.0000 0.5000

Material: SmNi4P2
Method: DFT, r2SCAN
State: optimized geometry

Summary:
The calculation puts the total magnetization at 0.00 μB/atom. The value obtained for the formation energy from the elements is -5.78 eV per formula unit. Its space group is No. 58. As for the raw total energy: -608.66 eV for the cell shown.

Cell lengths 3.7125, 10.6656, 13.9794 Å; angles 90.00, 90.00, 90.00 degrees
Sites, in units of the cell vectors:
Ni 0.5000 0.0971 0.5587
Sm 0.5000 0.6204 0.7773
Ni 0.5000 0.9310 0.8209
Sm 0.5000 0.3796 0.2227
Ni 0.0000 0.4029 0.0587
P 0.5000 0.1406 0.8824
Ni 0.5000 0.0690 0.1791
P 0.0000 0.2079 0.1285
P 0.5000 0.7079 0.3715
P 0.0000 0.7921 0.8715
Sm 0.0000 0.8796 0.2773
P 0.5000 0.2921 0.6285
Ni 0.0000 0.0737 0.4368
Ni 0.0000 0.2753 0.5379
Ni 0.0000 0.5971 0.9413
Ni 0.5000 0.9029 0.4413
P 0.0000 0.5674 0.1574
Ni 0.5000 0.2247 0.0379
Ni 0.0000 0.7247 0.4621
Sm 0.0000 0.1204 0.7227
Ni 0.5000 0.6793 0.2153
Ni 0.5000 0.7753 0.9621
Sm 0.0000 0.0000 0.0000
Ni 0.0000 0.9263 0.5632
P 0.5000 0.0674 0.3426
Ni 0.0000 0.1793 0.2847
Ni 0.5000 0.5737 0.0632
Ni 0.5000 0.4263 0.9368
Ni 0.0000 0.8207 0.7153
Ni 0.5000 0.3207 0.7847
P 0.0000 0.3594 0.3824
P 0.0000 0.4326 0.8426
Ni 0.0000 0.4310 0.6791
Ni 0.0000 0.5690 0.3209
Sm 0.5000 0.5000 0.5000
Ni 0.0000 0.2529 0.9137
P 0.5000 0.8594 0.1176
P 0.0000 0.6406 0.6176
Ni 0.0000 0.7471 0.0863
P 0.5000 0.9326 0.6574
Ni 0.5000 0.2471 0.4137
Ni 0.5000 0.7529 0.5863